VASP calculation (r2SCAN) on a relaxed structure of Nd3Dy.

Values from the calculation:
E: -240.27 eV/cell

Cell lengths 7.4430, 7.4430, 5.8247 Å; angles 90.00, 90.00, 120.00 degrees
Space group P6_3/mmc (No. 194)
Symmetry-distinct sites (fractional):
Nd 0.1676 0.3351 0.2500 [6 per cell]
Dy 0.3333 0.6667 0.7500 [2 per cell]